Record 1
Here is Mg2CuSi3 after structural relaxation from the Materials Project. Energies are from GGA-PBE.

Cell and atoms, written as POSCAR:
```
Mg2CuSi3
1.0
-1.547 4.682 -0.289
-1.328 1.452 -4.531
-4.869 0.522 -0.649
Mg Cu Si
2 1 3
Direct
0.627 0.627 0.627
0.373 0.373 0.373
0.000 0.000 0.000
0.000 0.500 0.000
0.500 0.000 0.000
0.000 0.000 0.500
```

- Final energy: -3.884 eV/atom
- Total moment: 0.0006 μB per atom

=====

Record 2
Here is Ta2TcW after structural relaxation from the Materials Project. Energies are from GGA-PBE.

Cell and atoms, written as POSCAR:
```
Ta2TcW
1.0
-1.008 1.131 4.291
-2.771 3.512 0.836
-4.186 -0.741 1.625
Ta Tc W
2 1 1
Direct
0.250 0.250 0.250
0.750 0.750 0.750
0.500 0.500 0.500
0.000 0.000 0.000
```

- Final energy: -12.043 eV/atom

=====

Record 3
Here is LiZnO2 after structural relaxation from the Materials Project. Energies are from GGA-PBE.

Cell and atoms, written as POSCAR:
```
LiZnO2
1.0
4.916 -1.501 0.000
4.916 1.501 0.000
4.458 0.000 2.558
Li Zn O
1 1 2
Direct
0.500 0.500 0.500
0.000 0.000 0.000
0.254 0.254 0.254
0.746 0.746 0.746
```

- Final energy: -4.552 eV/atom
- Total moment: 0.2505 μB per atom

=====

Record 4
Here is LiSi2Ag8O8 after structural relaxation from the Materials Project. Energies are from GGA-PBE.

Cell and atoms, written as POSCAR:
```
LiSi2Ag8O8
1.0
-0.050 -3.841 3.299
5.470 2.932 3.182
-4.614 4.633 4.776
Li Si Ag O
1 2 8 8
Direct
0.665 0.037 0.528
0.735 0.239 0.262
0.252 0.770 0.740
0.215 0.236 0.647
0.773 0.637 0.021
0.844 0.781 0.330
0.735 0.458 0.650
0.704 0.102 0.888
0.317 0.561 0.388
0.205 0.376 0.971
0.286 0.918 0.112
0.431 0.582 0.810
0.880 0.264 0.447
0.059 0.832 0.888
0.559 0.432 0.203
0.934 0.194 0.113
0.454 0.955 0.696
0.077 0.709 0.573
0.550 0.040 0.298
```

- Final energy: -4.948 eV/atom
- Total moment: 0.0000 μB per atom

=====

Record 5
Here is SmGePd after structural relaxation from the Materials Project. Energies are from GGA-PBE.

Cell and atoms, written as POSCAR:
```
SmGePd
1.0
0.000 0.000 -3.627
-2.240 -3.882 0.000
-2.241 3.882 0.000
Sm Ge Pd
1 1 1
Direct
0.000 0.000 0.000
0.500 0.667 0.333
0.500 0.333 0.667
```

- Final energy: -5.778 eV/atom
- Total moment: 0.0001 μB per atom

=====

Record 6
Here is Sr3Fe3N5 after structural relaxation from the Materials Project. Energies are from GGA-PBE.

Cell and atoms, written as POSCAR:
```
Sr3Fe3N5
1.0
5.573 -0.032 0.007
-0.673 7.110 -0.014
-1.911 -2.902 7.778
Sr Fe N
6 6 10
Direct
0.814 0.416 0.611
0.186 0.584 0.389
0.661 0.861 0.875
0.339 0.139 0.125
0.660 0.680 0.211
0.340 0.320 0.789
0.911 0.322 0.978
0.089 0.678 0.022
0.677 0.963 0.575
0.323 0.037 0.425
0.090 0.891 0.706
0.910 0.109 0.294
0.919 0.119 0.781
0.081 0.881 0.219
0.798 0.723 0.533
0.202 0.277 0.467
0.761 0.529 0.920
0.239 0.471 0.080
0.354 0.945 0.613
0.646 0.055 0.387
0.165 0.776 0.868
0.835 0.224 0.132
```

- Final energy: -7.013 eV/atom